(1)
Here is an optimized crystal structure of LaMgNb2CuClO7 from the Materials Project database. Energies are from PBE.

Lattice parameters (Å, degrees): 4.0341 4.0743 11.8525 90.00 90.00 90.00
Last column: nearest neighbours and their distance in Å.
Atoms (fractional coordinates):
La 0.0000 0.0000 0.0000  6 O 2.56-2.75
Mg 0.5000 0.0000 0.3702  3 O 2.05-2.10
Nb 0.5000 0.5000 0.1838  6 O 2.00-2.04
Nb 0.5000 0.5000 0.8260  1 O 1.80
Cu 0.5000 0.5000 0.5199  2 O 1.83-1.96
Cl 0.0000 0.0000 0.4893  2 Mg 2.46
O 0.0000 0.5000 0.1563  2 Nb 2.04
O 0.0000 0.5000 0.8653  2 Nb 2.07
O 0.5000 0.0000 0.1934  2 Nb 2.04, 1 Mg 2.10
O 0.5000 0.0000 0.8675  2 Nb 2.10
O 0.5000 0.5000 0.0155  1 Nb 2.00
O 0.5000 0.5000 0.3550  1 Cu 1.96, 1 Nb 2.03, 2 Mg 2.05
O 0.5000 0.5000 0.6741  1 Nb 1.80, 1 Cu 1.83

Space group: Pmm2, No. 25
Energy above the most stable polymorph in this dataset, kJ/mol of formula units: 0
VASP energy, eV per atom: -7.54

=====

(2)
Here is an optimized crystal structure of La5MgCu4P4Cl2O4 from the Materials Project database. Energies are from PBE.

Lattice parameters (Å, degrees): 24.5089 24.5089 24.5089 170.56 170.56 13.36
Last column: nearest neighbours and their distance in Å.
Atoms (fractional coordinates):
La 0.0000 0.0000 0.0000  8 P 3.07, 8 Cu 3.25
La 0.1634 0.1634 0.0000  4 O 2.33-2.34
La 0.3877 0.3877 0.0000  4 O 2.41
La 0.6123 0.6123 0.0000  4 O 2.41
La 0.8366 0.8366 0.0000  4 O 2.33-2.34
Mg 0.2500 0.7500 0.5000  4 Cl 3.30
Cu 0.0524 0.5524 0.5000  4 P 2.35-2.47
Cu 0.4476 0.9476 0.5000  4 P 2.35-2.47
Cu 0.5524 0.0524 0.5000  4 P 2.35-2.46
Cu 0.9476 0.4476 0.5000  4 P 2.35-2.46
P 0.0774 0.0774 0.0000  4 Cu 2.35
P 0.4767 0.4767 0.0000  1 P 2.27, 4 Cu 2.46-2.47
P 0.5233 0.5233 0.0000  1 P 2.27, 4 Cu 2.46-2.47
P 0.9226 0.9226 0.0000  4 Cu 2.35
Cl 0.3036 0.3036 0.0000  4 La 3.27, 2 Mg 3.30, 4 O 3.44
Cl 0.6964 0.6964 0.0000  4 La 3.27, 2 Mg 3.30, 4 O 3.44
O 0.1392 0.6392 0.5000  4 La 2.34-2.41
O 0.3608 0.8608 0.5000  4 La 2.34-2.41
O 0.6392 0.1393 0.5000  4 La 2.33-2.41
O 0.8608 0.3608 0.5000  4 La 2.33-2.41

Space group: I-4m2, No. 119
VASP energy, eV per atom: -6.21

=====

(3)
Here is an optimized crystal structure of LaMgTa2CuClO7 from the Materials Project database. Energies are from PBE.

Lattice parameters (Å, degrees): 4.0467 4.0467 11.7394 90.00 90.00 90.00
Last column: nearest neighbours and their distance in Å.
Atoms (fractional coordinates):
La 0.0000 0.0000 0.0000  4 O 2.50
Mg 0.0000 0.0000 0.6782  1 Cl 2.27, 4 O 2.48
Ta 0.5000 0.5000 0.1648  1 O 1.78
Ta 0.5000 0.5000 0.7957  6 O 1.87-2.05
Cu 0.5000 0.5000 0.4748  2 O 1.86-1.89
Cl 0.0000 0.0000 0.4852  1 Mg 2.27
O 0.0000 0.5000 0.1258  2 Ta 2.07
O 0.0000 0.5000 0.8003  2 Ta 2.02
O 0.5000 0.0000 0.1258  2 Ta 2.07
O 0.5000 0.0000 0.8003  2 Ta 2.02
O 0.5000 0.5000 0.3165  1 Ta 1.78, 1 Cu 1.86
O 0.5000 0.5000 0.6361  1 Ta 1.87, 1 Cu 1.89
O 0.5000 0.5000 0.9702  2 Ta 2.05-2.28

Space group: P4mm, No. 99
Energy above the most stable polymorph in this dataset, kJ/mol of formula units: 128
VASP energy, eV per atom: -7.82

=====

(4)
Here is an optimized crystal structure of LaMgTa2CuClO7 from the Materials Project database. Energies are from PBE.

Lattice parameters (Å, degrees): 4.0145 4.0594 11.8017 90.00 90.00 90.00
Last column: nearest neighbours and their distance in Å.
Atoms (fractional coordinates):
La 0.0000 0.0000 0.0000  10 O 2.57-2.86
Mg 0.5000 0.0000 0.3691  3 O 2.04-2.13
Ta 0.5000 0.5000 0.1815  6 O 1.99-2.03
Ta 0.5000 0.5000 0.8259  1 O 1.80
Cu 0.5000 0.5000 0.5183  2 O 1.83-1.98
Cl 0.0000 0.0000 0.4865  2 Mg 2.44
O 0.0000 0.5000 0.1564  2 Ta 2.03
O 0.0000 0.5000 0.8624  2 Ta 2.05
O 0.5000 0.0000 0.1888  2 Ta 2.03, 1 Mg 2.13
O 0.5000 0.0000 0.8634  2 Ta 2.08
O 0.5000 0.5000 0.0127  2 Ta 1.99-2.20
O 0.5000 0.5000 0.3509  1 Cu 1.98, 1 Ta 2.00, 2 Mg 2.04
O 0.5000 0.5000 0.6733  1 Ta 1.80, 1 Cu 1.83

Space group: Pmm2, No. 25
Energy above the most stable polymorph in this dataset, kJ/mol of formula units: 0
VASP energy, eV per atom: -7.92

=====

(5)
Here is an optimized crystal structure of La5Cu4P4Cl2O4 from the Materials Project database. Energies are from PBE.

Lattice parameters (Å, degrees): 20.6787 20.6787 20.6787 168.69 168.69 16.03
Last column: nearest neighbours and their distance in Å.
Atoms (fractional coordinates):
La 0.0000 0.0000 0.0000  8 P 3.09, 8 Cu 3.26
La 0.1943 0.1943 0.0000  4 O 2.38
La 0.3656 0.3656 0.0000  4 O 2.38
La 0.6344 0.6344 0.0000  4 O 2.38
La 0.8057 0.8057 0.0000  4 O 2.38
Cu 0.0621 0.5621 0.5000  4 P 2.35-2.48
Cu 0.4379 0.9379 0.5000  4 P 2.35-2.48
Cu 0.5621 0.0621 0.5000  4 P 2.35-2.48
Cu 0.9379 0.4379 0.5000  4 P 2.35-2.48
P 0.0906 0.0906 0.0000  4 Cu 2.35
P 0.4726 0.4726 0.0000  1 P 2.25, 4 Cu 2.48
P 0.5274 0.5274 0.0000  1 P 2.25, 4 Cu 2.48
P 0.9094 0.9094 0.0000  4 Cu 2.35
Cl 0.2721 0.2721 0.0000  5 La 3.19, 4 O 3.31, 4 Cl 3.41
Cl 0.7279 0.7279 0.0000  5 La 3.19, 4 O 3.31, 4 Cl 3.41
O 0.1642 0.6642 0.5000  4 La 2.38
O 0.3358 0.8358 0.5000  4 La 2.38
O 0.6642 0.1642 0.5000  4 La 2.38
O 0.8358 0.3358 0.5000  4 La 2.38

Space group: I4/mmm, No. 139
VASP energy, eV per atom: -6.52

=====

(6)
Here is an optimized crystal structure of Rb2LaCuCl6 from the Materials Project database. Energies are from PBE.

Lattice parameters (Å, degrees): 7.5262 7.5262 7.5262 60.00 60.00 60.00
Last column: nearest neighbours and their distance in Å.
Atoms (fractional coordinates):
Rb 0.2500 0.2500 0.2500  12 Cl 3.76
Rb 0.7500 0.7500 0.7500  12 Cl 3.76
La 0.0000 0.0000 0.0000  6 Cl 2.77
Cu 0.5000 0.5000 0.5000  6 Cl 2.55
Cl 0.2602 0.2602 0.7398  1 Cu 2.55, 1 La 2.77
Cl 0.2602 0.7398 0.2602  1 Cu 2.55, 1 La 2.77
Cl 0.2602 0.7398 0.7398  1 Cu 2.55, 1 La 2.77
Cl 0.7398 0.2602 0.2602  1 Cu 2.55, 1 La 2.77
Cl 0.7398 0.2602 0.7398  1 Cu 2.55, 1 La 2.77
Cl 0.7398 0.7398 0.2602  1 Cu 2.55, 1 La 2.77

Space group: Fm-3m, No. 225
VASP energy, eV per atom: -3.99